1.
MgAlFeO4 | PBE+U | relaxed

Geometry as POSCAR:
```
MgAlFeO4
1.0
0.000 -4.137 4.137
-8.340 0.000 0.000
0.000 -4.156 -4.156
Al Fe O Mg
4 4 16 4
Direct
0.750 0.125 0.500
0.750 0.625 0.000
0.250 0.125 0.500
0.250 0.625 0.000
0.000 0.758 0.500
0.000 0.992 0.000
0.500 0.492 0.500
0.500 0.258 0.000
0.500 0.626 0.775
0.500 0.124 0.725
0.742 0.854 0.000
0.000 0.624 0.775
0.000 0.624 0.225
0.500 0.626 0.225
0.242 0.354 0.500
0.742 0.896 0.500
0.500 0.124 0.275
0.000 0.126 0.275
0.242 0.396 0.000
0.758 0.396 0.000
0.000 0.126 0.725
0.258 0.854 0.000
0.758 0.354 0.500
0.258 0.896 0.500
0.000 0.375 0.250
0.500 0.875 0.750
0.000 0.375 0.750
0.500 0.875 0.250
```

Results
For the formation energy from the elements, the calculation gives -18.93 eV/f.u. For the total energy, the calculation gives -6.79 eV/atom. The value obtained for the MP2020-corrected energy is -7.506 eV/atom.



2.
MgAl8Fe3P8O40 | PBE+U | relaxed

Geometry as POSCAR:
```
MgAl8Fe3P8O40
1.0
3.682 -5.946 -1.681
-5.421 0.223 -11.222
5.572 4.149 -2.608
O P Fe Al Mg
40 8 3 8 1
Direct
0.692 0.906 0.495
0.720 0.499 0.839
0.187 0.407 0.490
0.313 0.093 0.510
0.021 0.252 0.326
0.394 0.454 0.748
0.106 0.046 0.252
0.780 0.001 0.161
0.898 0.957 0.750
0.443 0.657 0.005
0.943 0.157 0.004
0.602 0.543 0.250
0.557 0.343 0.996
0.336 0.788 0.766
0.420 0.154 0.004
0.170 0.906 0.495
0.479 0.248 0.674
0.415 0.961 0.267
0.656 0.212 0.237
0.085 0.539 0.733
0.844 0.288 0.763
0.808 0.594 0.505
0.281 0.504 0.161
0.853 0.792 0.252
0.158 0.210 0.753
0.914 0.463 0.262
0.342 0.290 0.247
0.164 0.712 0.234
0.057 0.843 0.995
0.586 0.037 0.738
0.970 0.748 0.664
0.825 0.095 0.503
0.219 0.996 0.839
0.579 0.844 0.995
0.921 0.656 0.005
0.647 0.708 0.748
0.330 0.594 0.505
0.675 0.405 0.497
0.080 0.346 0.996
0.530 0.752 0.336
0.495 0.246 0.118
0.498 0.754 0.880
0.254 0.999 0.384
0.748 0.003 0.620
0.246 0.501 0.616
0.752 0.497 0.380
0.005 0.254 0.882
0.002 0.746 0.120
0.001 0.000 0.002
0.750 0.750 0.500
0.499 0.500 0.998
0.125 0.388 0.230
0.127 0.865 0.727
0.624 0.886 0.227
0.373 0.635 0.273
0.863 0.133 0.268
0.876 0.614 0.773
0.637 0.367 0.732
0.375 0.112 0.770
0.250 0.250 0.500
```

Results
For the formation energy from the elements, the calculation gives -161.83 eV/f.u. The space group is No. 2. For the total energy, the calculation gives -7.10 eV/atom. The value obtained for the MP2020-corrected energy is -7.667 eV/atom.



3.
Mg3Al8FeSi10O36 | PBE+U | relaxed

Geometry as POSCAR:
```
Mg3Al8FeSi10O36
1.0
-5.958 -2.029 -7.729
9.793 1.313 -1.318
1.420 -9.238 1.327
O Si Al Mg Fe
36 10 8 3 1
Direct
0.646 0.522 0.099
0.707 0.794 0.250
0.478 0.354 0.901
0.522 0.646 0.901
0.354 0.476 0.401
0.354 0.478 0.099
0.693 0.937 0.750
0.136 0.483 0.892
0.242 0.914 0.250
0.517 0.864 0.108
0.524 0.646 0.599
0.483 0.136 0.392
0.519 0.866 0.392
0.864 0.517 0.892
0.307 0.064 0.750
0.650 0.144 0.608
0.086 0.758 0.750
0.936 0.693 0.250
0.914 0.242 0.750
0.478 0.353 0.599
0.856 0.350 0.392
0.206 0.293 0.750
0.063 0.307 0.250
0.134 0.481 0.608
0.140 0.650 0.391
0.350 0.856 0.892
0.647 0.522 0.401
0.795 0.707 0.750
0.483 0.136 0.108
0.144 0.650 0.108
0.758 0.086 0.250
0.864 0.517 0.608
0.293 0.205 0.250
0.650 0.143 0.892
0.857 0.350 0.108
0.350 0.860 0.609
0.629 0.899 0.249
0.112 0.730 0.249
0.501 0.499 0.500
0.500 0.500 0.000
0.887 0.271 0.250
0.899 0.628 0.750
0.101 0.371 0.751
0.729 0.113 0.750
0.372 0.101 0.250
0.270 0.888 0.751
0.999 0.500 0.500
0.500 0.000 0.000
0.257 0.357 0.249
0.643 0.743 0.751
0.000 0.500 0.000
0.500 0.001 0.500
0.358 0.258 0.750
0.742 0.642 0.250
0.337 0.663 0.000
0.663 0.337 0.500
0.663 0.337 0.000
0.338 0.662 0.500
```

Results
For the formation energy from the elements, the calculation gives -189.98 eV/f.u. The space group is No. 5. For the total energy, the calculation gives -7.56 eV/atom. The value obtained for the MP2020-corrected energy is -8.027 eV/atom.



4.
Mg9Al8Fe3Si12O48 | PBE+U | relaxed

Geometry as POSCAR:
```
Mg9Al8Fe3Si12O48
1.0
4.038 -9.068 1.493
8.846 -0.538 -4.714
10.179 -2.003 5.132
Si O Mg Al Fe
12 48 9 8 3
Direct
0.749 0.750 0.376
0.874 0.374 0.126
0.124 0.623 0.377
0.626 0.126 0.874
0.377 0.623 0.000
0.124 0.876 0.500
0.625 0.375 0.500
0.750 0.750 0.874
0.377 0.876 0.623
0.250 0.250 0.126
0.874 0.126 0.000
0.250 0.251 0.624
0.418 0.482 0.147
0.585 0.985 0.062
0.418 0.018 0.435
0.016 0.085 0.047
0.896 0.798 0.870
0.983 0.918 0.453
0.298 0.395 0.936
0.685 0.379 0.168
0.796 0.897 0.371
0.814 0.379 0.454
0.582 0.517 0.354
0.518 0.582 0.853
0.382 0.688 0.664
0.879 0.314 0.853
0.082 0.482 0.371
0.397 0.203 0.168
0.879 0.186 0.268
0.621 0.315 0.832
0.202 0.104 0.130
0.484 0.086 0.868
0.982 0.582 0.565
0.914 0.516 0.132
0.312 0.618 0.336
0.117 0.812 0.236
0.915 0.984 0.953
0.703 0.897 0.733
0.188 0.883 0.764
0.396 0.297 0.436
0.814 0.121 0.732
0.015 0.415 0.938
0.298 0.105 0.766
0.605 0.702 0.064
0.797 0.603 0.832
0.686 0.121 0.147
0.120 0.686 0.646
0.082 0.017 0.547
0.103 0.297 0.267
0.604 0.797 0.332
0.483 0.418 0.646
0.203 0.396 0.668
0.518 0.918 0.629
0.383 0.812 0.952
0.621 0.186 0.546
0.103 0.204 0.629
0.314 0.880 0.354
0.188 0.617 0.048
0.703 0.604 0.564
0.895 0.702 0.234
0.250 0.249 0.875
0.750 0.750 0.625
0.375 0.625 0.500
0.875 0.125 0.500
0.751 0.750 0.125
0.625 0.375 0.000
0.625 0.125 0.375
0.875 0.375 0.625
0.250 0.250 0.375
0.000 0.500 0.750
0.999 0.000 0.250
0.501 0.001 0.749
0.500 0.499 0.250
0.000 0.001 0.750
0.501 0.500 0.750
0.999 0.499 0.251
0.500 0.000 0.250
0.125 0.625 0.875
0.375 0.875 0.125
0.125 0.875 0.000
```

Results
For the formation energy from the elements, the calculation gives -251.19 eV/f.u. The space group is No. 5. For the total energy, the calculation gives -7.30 eV/atom. The value obtained for the MP2020-corrected energy is -7.795 eV/atom.



> Number 4 is which compound?

Mg9Al8Fe3Si12O48



> Look up the total energy of the fourth one.

-7.30 eV/atom